{
  "formula": "Hf5Sb9",
  "functional": "r2SCAN",
  "state": "optimized geometry",
  "total_magnetization_mub_per_atom": 0.000,
  "dft_energy_ev_per_cell": -927.86,
  "space_group": "P4/n (85)",
  "lattice": [[8.809, 0.000, 0.000], [0.000, 8.809, 0.000], [0.000, 0.000, 8.694]],
  "species": ["Hf", "Hf", "Hf", "Hf", "Hf", "Hf", "Hf", "Hf", "Hf", "Hf", "Sb", "Sb", "Sb", "Sb", "Sb", "Sb", "Sb", "Sb", "Sb", "Sb", "Sb", "Sb", "Sb", "Sb", "Sb", "Sb", "Sb", "Sb"],
  "fractional_positions": [[0.043, 0.855, 0.233], [0.145, 0.543, 0.767], [0.250, 0.250, 0.244], [0.355, 0.957, 0.767], [0.457, 0.645, 0.233], [0.543, 0.355, 0.767], [0.645, 0.043, 0.233], [0.750, 0.750, 0.756], [0.855, 0.457, 0.233], [0.957, 0.145, 0.767], [0.020, 0.331, 0.498], [0.054, 0.847, 0.882], [0.153, 0.554, 0.118], [0.169, 0.020, 0.498], [0.250, 0.250, 0.892], [0.331, 0.480, 0.498], [0.347, 0.946, 0.118], [0.446, 0.653, 0.882], [0.480, 0.169, 0.498], [0.520, 0.831, 0.502], [0.554, 0.347, 0.118], [0.653, 0.054, 0.882], [0.669, 0.520, 0.502], [0.750, 0.750, 0.108], [0.831, 0.980, 0.502], [0.847, 0.446, 0.882], [0.946, 0.153, 0.118], [0.980, 0.669, 0.502]]
}